# Eu5Mg (PBE, optimized geometry)
data_Eu5Mg
_cell_length_a 6.6135
_cell_length_b 6.6135
_cell_length_c 6.1339
_cell_angle_alpha 90.00
_cell_angle_beta 90.00
_cell_angle_gamma 120.00
_symmetry_space_group_name_H-M 'P -6 2 m'
_symmetry_Int_Tables_number 189
_symmetry_space_group_name_Hall 'P -6 -2'
loop_
_atom_site_label
_atom_site_fract_x
_atom_site_fract_y
_atom_site_fract_z
Eu1 0.0000 0.6782 0.0000
Eu2 0.3333 0.6667 0.5000
Mg1 0.0000 0.0000 0.5000
# Energy relative to the lowest polymorph listed for this composition: 5 meV/atom
# E_form: 11 meV/atom


# EuMg (PBE, optimized geometry)
data_EuMg
_cell_length_a 5.851
_cell_length_b 4.105
_cell_length_c 5.853
_cell_angle_alpha 90.00
_cell_angle_beta 90.00
_cell_angle_gamma 90.00
_symmetry_space_group_name_H-M 'P m m a'
_symmetry_Int_Tables_number 51
loop_
_symmetry_equiv_pos_as_xyz
'x,y,z'
'-x,-y,-z'
'-x+1/2,-y,z'
'x+1/2,y,-z'
'x+1/2,-y,-z'
'-x+1/2,y,z'
'-x,y,-z'
'x,-y,z'
loop_
_atom_site_label
_atom_site_fract_x
_atom_site_fract_y
_atom_site_fract_z
Eu1 0.250 0.000 0.232
Mg1 0.250 0.500 0.726
# Energy relative to the lowest polymorph listed for this composition: 7 meV/atom
# E_form: -72 meV/atom